Computed, not measured: a geometry-optimized Na14Hf4Zr4Si11SO48 structure at the PBE level of DFT.

Its symmetry is No. 1. The calculated volume is 13.76 Å³/atom. For the total DFT energy (no corrections), the calculation gives -7.521 eV/atom. For the energy of formation, the calculation gives -3120 meV/atom.

Unit cell a=18.452 b=9.225 c=22.967 alpha=90.02 beta=90.01 gamma=120.00
Sites, in units of the cell vectors:
O  0.228  0.156  0.524
O  0.106  0.192  0.803
Si  0.482  0.334  0.582
Si  0.852  0.002  0.750
O  0.012  0.836  0.410
Na  0.667  0.298  0.917
O  0.073  0.501  0.578
Si  0.187  0.333  0.084
O  0.604  0.176  0.807
Na  0.517  0.336  0.083
O  0.436  0.502  0.138
Zr  0.166  0.666  0.518
O  0.579  0.699  0.475
Na  0.984  0.663  0.917
Na  0.017  0.337  0.083
O  0.565  0.493  0.859
O  0.251  0.146  0.922
Si  0.521  0.375  0.917
Si  0.311  0.958  0.415
O  0.014  0.821  0.692
O  0.751  0.365  0.138
Zr  0.335  0.328  0.683
O  0.251  0.356  0.421
O  0.411  0.031  0.807
O  0.987  0.797  0.807
Si  0.482  0.628  0.083
O  0.349  0.539  0.527
O  0.754  0.635  0.860
Si  0.311  0.666  0.915
Si  0.002  0.703  0.750
Si  0.021  0.667  0.416
Na  0.167  0.304  0.919
O  0.184  0.498  0.362
Si  0.981  0.627  0.082
O  0.483  0.791  0.807
Na  0.321  0.642  0.751
O  0.910  0.027  0.808
Zr  0.334  0.335  0.982
O  0.516  0.822  0.693
Si  0.167  0.372  0.417
S  0.647  0.000  0.250
O  0.156  0.464  0.755
O  0.082  0.485  0.255
Si  0.186  0.040  0.583
Si  0.021  0.376  0.917
Zr  0.500  0.000  0.649
O  0.350  0.159  0.027
O  0.933  0.366  0.638
Na  0.001  0.002  0.000
O  0.752  0.872  0.358
Zr  0.996  0.988  0.647
O  0.417  0.812  0.589
Zr  0.495  0.997  0.352
O  0.340  0.515  0.244
Hf  0.834  0.333  0.481
Si  0.832  0.622  0.583
O  0.068  0.635  0.362
O  0.927  0.355  0.923
Si  0.850  0.700  0.250
Na  0.001  0.001  0.500
O  0.905  0.977  0.411
O  0.732  0.150  0.245
O  0.084  0.185  0.409
O  0.422  0.548  0.025
Zr  0.994  0.996  0.352
O  0.149  0.842  0.976
Na  0.151  0.967  0.081
O  0.227  0.299  0.025
O  0.749  0.855  0.078
Zr  0.496  0.004  0.148
Na  0.849  0.035  0.917
O  0.921  0.299  0.525
O  0.095  0.164  0.090
O  0.262  0.702  0.255
O  0.096  0.978  0.197
O  0.322  0.145  0.421
Si  0.810  0.958  0.416
O  0.270  0.841  0.473
Na  0.838  0.334  0.831
Si  0.812  0.664  0.917
O  0.261  0.821  0.756
Si  0.331  0.041  0.085
O  0.252  0.871  0.358
O  0.910  0.298  0.244
Na  0.651  0.969  0.081
O  0.596  0.978  0.197
O  0.816  0.128  0.142
Hf  0.833  0.334  0.981
O  0.678  0.501  0.077
Na  0.817  0.633  0.749
O  0.013  0.207  0.192
O  0.730  0.301  0.025
O  0.574  0.644  0.078
O  0.345  0.169  0.745
O  0.927  0.499  0.422
Si  0.499  0.704  0.750
Na  0.832  0.969  0.583
O  0.486  0.178  0.307
O  0.073  0.644  0.077
Na  0.334  0.327  0.834
O  0.916  0.810  0.588
Na  0.832  0.696  0.083
Na  0.651  0.333  0.584
Zr  0.995  0.992  0.853
O  0.268  0.697  0.973
O  0.013  0.190  0.910
Na  0.349  0.664  0.416
O  0.084  0.683  0.755
O  0.317  0.508  0.642
O  0.849  0.161  0.027
Na  0.501  0.000  0.501
O  0.921  0.544  0.025
O  0.822  0.498  0.922
O  0.760  0.830  0.756
O  0.574  0.503  0.578
O  0.935  0.502  0.137
Si  0.350  0.997  0.750
O  0.514  0.837  0.410
O  0.321  0.498  0.921
Na  0.821  0.000  0.250
O  0.583  0.977  0.912
O  0.107  0.022  0.303
O  0.583  0.686  0.756
Na  0.684  0.002  0.749
O  0.588  0.210  0.693
O  0.821  0.145  0.422
O  0.410  0.298  0.244
Na  0.838  0.348  0.332
O  0.512  0.189  0.912
O  0.749  0.644  0.577
Hf  0.339  0.347  0.185
Si  0.500  0.300  0.250
O  0.607  0.022  0.303
Na  0.500  0.000  0.999
O  0.897  0.822  0.193
Hf  0.667  0.667  0.019
O  0.909  0.792  0.308
O  0.252  0.633  0.858
Si  0.522  0.668  0.416
Na  0.321  0.000  0.250
Si  0.167  0.960  0.918
O  0.840  0.515  0.244
Zr  0.334  0.334  0.481
O  0.769  0.839  0.473
O  0.079  0.459  0.976
O  0.595  0.164  0.090
O  0.490  0.166  0.588
O  0.683  0.872  0.860
O  0.649  0.457  0.475
Na  0.664  0.652  0.168
O  0.752  0.356  0.423
O  0.416  0.022  0.089
O  0.913  0.526  0.744
O  0.395  0.969  0.693
O  0.731  0.160  0.526
O  0.897  0.971  0.694
O  0.762  0.702  0.255
Hf  0.167  0.666  0.019
O  0.580  0.463  0.974
Na  0.163  0.675  0.668
Si  0.648  0.296  0.750
O  0.398  0.823  0.193
Na  0.518  0.702  0.583
Si  0.333  0.627  0.584
Si  0.350  0.701  0.250
Zr  0.500  0.001  0.851
O  0.251  0.365  0.138
Na  0.350  0.033  0.917
Hf  0.667  0.667  0.518
O  0.685  0.498  0.363
O  0.770  0.698  0.974
O  0.740  0.313  0.744
Si  0.667  0.373  0.418
O  0.751  0.145  0.923
O  0.583  0.485  0.256
Zr  0.996  0.003  0.148
Na  0.667  0.667  0.667
Na  0.984  0.304  0.417
O  0.991  0.814  0.090
O  0.078  0.701  0.475
O  0.513  0.208  0.192
S  0.147  0.000  0.250
Na  0.333  0.966  0.584
O  0.249  0.854  0.078
Na  0.167  0.031  0.418
O  0.405  0.834  0.911
Hf  0.836  0.335  0.686
Na  0.501  0.364  0.751
O  0.405  0.977  0.411
O  0.428  0.501  0.421
O  0.248  0.132  0.638
Si  0.831  0.042  0.084
O  0.157  0.850  0.255
O  0.816  0.506  0.641
Hf  0.665  0.653  0.315
S  0.146  0.294  0.750
O  0.585  0.187  0.410
O  0.184  0.870  0.862
Si  0.980  0.334  0.583
O  0.316  0.128  0.142
Na  0.338  0.348  0.332
Hf  0.165  0.653  0.315
O  0.652  0.841  0.974
O  0.177  0.854  0.578
O  0.178  0.501  0.078
O  0.094  0.026  0.589
Na  0.483  0.667  0.917
O  0.414  0.519  0.746
O  0.084  0.982  0.910
O  0.838  0.163  0.745
O  0.409  0.792  0.308
O  0.849  0.538  0.526
Na  0.849  0.663  0.417
Na  0.164  0.652  0.168
O  0.569  0.636  0.362
Na  0.667  0.033  0.419
O  0.986  0.178  0.307
O  0.656  0.481  0.756
Si  0.688  0.042  0.583
O  0.916  0.023  0.089
O  0.096  0.214  0.697
O  0.439  0.367  0.640
O  0.422  0.301  0.526
Na  0.016  0.694  0.584
O  0.232  0.314  0.746
O  0.249  0.644  0.579
O  0.594  0.023  0.588
Hf  0.839  0.347  0.185
Na  0.150  0.335  0.581
Si  0.000  0.299  0.250
Si  0.667  0.959  0.917
O  0.492  0.815  0.091
Si  0.688  0.333  0.083
O  0.067  0.500  0.862
Na  0.484  0.304  0.416
O  0.747  0.129  0.641
O  0.905  0.833  0.912
O  0.657  0.850  0.255
Hf  0.667  0.668  0.815
O  0.679  0.855  0.577
Hf  0.164  0.676  0.816
O  0.990  0.168  0.590
Na  0.332  0.696  0.083
O  0.428  0.357  0.921
O  0.148  0.452  0.475
O  0.232  0.150  0.245